Record 1
MgB4O16, optimized geometry, DFT GGA-PBE; total DFT energy (no corrections) = -5.645 eV per atom; total energy after the MP2020 corrections = -5.77 eV per atom; ΔE to the lowest computed polymorph = 410 meV/atom; formation enthalpy at 0 K = -0.6492 eV per atom; density = 2.1 g/cm3
1.0
13.420 0.000 0.000
0.000 6.334 0.000
0.000 2.163 11.905
O B Mg
64 16 4
Direct
0.253 0.360 0.774
0.785 0.875 0.025
0.001 0.795 0.362
0.999 0.205 0.638
0.162 0.622 0.856
0.570 0.198 0.392
0.930 0.198 0.892
0.349 0.309 0.949
0.545 0.570 0.368
0.075 0.356 0.781
0.255 0.562 0.990
0.430 0.802 0.608
0.715 0.875 0.525
0.747 0.640 0.226
0.338 0.622 0.356
0.780 0.176 0.760
0.986 0.067 0.143
0.755 0.438 0.510
0.885 0.187 0.416
0.089 0.182 0.289
0.565 0.339 0.939
0.589 0.818 0.211
0.651 0.691 0.051
0.745 0.438 0.010
0.411 0.182 0.789
0.151 0.309 0.449
0.499 0.795 0.862
0.215 0.125 0.975
0.575 0.644 0.719
0.385 0.813 0.084
0.285 0.125 0.475
0.955 0.570 0.868
0.070 0.802 0.108
0.065 0.661 0.561
0.662 0.378 0.644
0.615 0.187 0.916
0.925 0.644 0.219
0.405 0.574 0.787
0.720 0.176 0.260
0.000 0.500 0.000
0.911 0.818 0.711
0.500 0.000 0.500
0.280 0.824 0.740
0.935 0.339 0.439
0.849 0.691 0.551
0.501 0.205 0.138
0.245 0.562 0.490
0.514 0.067 0.643
0.014 0.933 0.857
0.455 0.430 0.632
0.247 0.360 0.274
0.500 0.500 0.500
0.905 0.426 0.713
0.753 0.640 0.726
0.220 0.824 0.240
0.115 0.813 0.584
0.045 0.430 0.132
0.595 0.426 0.213
0.486 0.933 0.357
0.838 0.378 0.144
0.435 0.661 0.061
0.425 0.356 0.281
0.000 0.000 0.000
0.095 0.574 0.287
0.543 0.784 0.312
0.149 0.357 0.325
0.165 0.438 0.808
0.351 0.357 0.825
0.665 0.562 0.692
0.028 0.618 0.190
0.335 0.438 0.308
0.851 0.643 0.675
0.472 0.618 0.690
0.972 0.382 0.810
0.957 0.784 0.812
0.649 0.643 0.175
0.528 0.382 0.310
0.457 0.216 0.688
0.835 0.562 0.192
0.043 0.216 0.188
0.284 0.821 0.567
0.216 0.821 0.067
0.784 0.179 0.933
0.716 0.179 0.433

***

Record 2
Cr11Ni40Mo9, optimized geometry, DFT GGA-PBE; total DFT energy (no corrections) = -7.283 eV per atom; ΔE to the lowest computed polymorph = 5 meV/atom; formation enthalpy at 0 K = -0.0325 eV per atom; density = 9.2 g/cm3
1.0
-3.678 4.193 5.237
-10.155 -1.406 -4.671
-7.589 -12.503 8.334
Ni Mo Cr
80 18 22
Direct
0.898 0.699 0.235
0.948 0.098 0.783
0.500 0.500 0.167
0.397 0.701 0.733
0.046 0.402 0.885
0.297 0.901 0.634
0.798 0.399 0.465
0.202 0.601 0.535
0.102 0.301 0.432
0.403 0.699 0.067
0.050 0.401 0.218
0.599 0.801 0.934
0.750 0.001 0.584
0.747 0.501 0.583
0.451 0.599 0.282
0.001 0.499 0.332
0.896 0.200 0.235
0.353 0.800 0.184
0.201 0.098 0.865
0.650 0.701 0.817
0.048 0.899 0.218
0.551 0.902 0.717
0.000 0.500 0.667
0.352 0.300 0.514
0.749 0.997 0.916
0.203 0.099 0.533
0.899 0.198 0.567
0.699 0.599 0.034
0.797 0.401 0.134
0.402 0.198 0.734
0.948 0.598 0.117
0.503 0.999 0.167
0.648 0.199 0.482
0.253 0.999 0.416
0.049 0.901 0.882
0.150 0.701 0.315
0.303 0.899 0.967
0.552 0.399 0.717
0.449 0.600 0.615
0.848 0.300 0.686
0.796 0.899 0.135
0.353 0.302 0.184
0.749 0.499 0.917
0.252 0.502 0.083
0.601 0.303 0.934
0.600 0.300 0.267
0.151 0.698 0.984
0.502 0.001 0.832
0.946 0.099 0.118
0.252 0.000 0.084
0.151 0.202 0.316
0.846 0.799 0.018
0.550 0.400 0.383
0.404 0.201 0.067
0.698 0.100 0.366
0.099 0.803 0.433
0.302 0.401 0.633
0.904 0.701 0.566
0.201 0.599 0.868
0.452 0.097 0.616
0.502 0.501 0.835
0.602 0.801 0.266
0.650 0.700 0.483
0.150 0.201 0.984
0.652 0.200 0.815
0.847 0.301 0.017
0.800 0.899 0.466
0.950 0.600 0.783
0.098 0.300 0.766
0.700 0.599 0.366
0.551 0.902 0.383
0.254 0.499 0.415
0.698 0.100 0.035
0.452 0.100 0.284
0.099 0.801 0.765
0.347 0.802 0.517
0.301 0.402 0.967
0.999 0.998 0.333
0.998 0.998 0.667
0.853 0.802 0.684
0.350 0.300 0.850
0.249 0.504 0.748
0.900 0.700 0.900
0.400 0.700 0.400
0.598 0.804 0.598
0.999 0.999 0.000
0.202 0.096 0.202
0.600 0.300 0.600
0.050 0.400 0.550
0.453 0.096 0.952
0.153 0.195 0.652
0.102 0.795 0.102
0.350 0.800 0.850
0.897 0.204 0.898
0.949 0.604 0.447
0.701 0.597 0.702
0.097 0.305 0.099
0.950 0.100 0.450
0.552 0.897 0.052
0.499 0.003 0.498
0.750 0.500 0.250
0.148 0.703 0.649
0.848 0.302 0.349
0.202 0.597 0.201
0.650 0.700 0.150
0.650 0.200 0.151
0.400 0.200 0.400
0.301 0.900 0.300
0.848 0.803 0.348
0.750 0.000 0.250
0.051 0.898 0.551
0.452 0.598 0.952
0.999 0.500 0.000
0.702 0.097 0.701
0.250 0.999 0.750
0.798 0.903 0.798
0.301 0.400 0.300
0.500 0.500 0.499
0.800 0.400 0.800
0.550 0.401 0.050

***

Record 3
Mg14CdBiO16, optimized geometry, DFT GGA-PBE; total DFT energy (no corrections) = -5.647 eV per atom; total energy after the MP2020 corrections = -5.99 eV per atom; ΔE to the lowest computed polymorph = 0 meV/atom; formation enthalpy at 0 K = -2.6664 eV per atom; density = 4.4 g/cm3
1.0
-2.495 8.187 2.077
-7.189 -0.922 -5.002
-2.244 -1.576 3.516
O Bi Cd Mg
16 1 1 14
Direct
0.500 0.000 0.500
0.748 0.748 0.500
0.000 0.268 0.000
0.500 0.765 0.000
0.732 0.000 0.000
0.500 0.500 0.500
0.252 0.252 0.500
0.748 0.252 0.500
0.268 0.000 0.000
0.000 0.500 0.500
0.500 0.235 0.000
0.235 0.500 0.000
0.000 0.732 0.000
0.252 0.748 0.500
0.000 0.000 0.500
0.765 0.500 0.000
0.500 0.500 0.000
0.000 0.000 0.000
0.252 0.000 0.500
0.000 0.500 0.000
0.242 0.758 0.000
0.765 0.500 0.500
0.500 0.235 0.500
0.000 0.748 0.500
0.235 0.500 0.500
0.500 0.000 0.000
0.748 0.000 0.500
0.242 0.242 0.000
0.758 0.242 0.000
0.758 0.758 0.000
0.000 0.252 0.500
0.500 0.765 0.500

***

Record 4
LiScAu2, optimized geometry, DFT GGA-PBE; total DFT energy (no corrections) = -4.393 eV per atom; formation enthalpy at 0 K = -0.6957 eV per atom; density = 10.3 g/cm3
1.0
4.249 -1.434 -1.274
2.787 -2.079 3.106
0.909 -4.558 -0.368
Au Li Sc
2 1 1
Direct
0.250 0.250 0.250
0.750 0.750 0.750
0.500 0.500 0.500
0.000 0.000 0.000

***

Record 5
KBa3Bi4O12, optimized geometry, DFT GGA-PBE; total DFT energy (no corrections) = -5.752 eV per atom; total energy after the MP2020 corrections = -6.16 eV per atom; formation enthalpy at 0 K = -2.0738 eV per atom; density = 7.3 g/cm3
1.0
6.174 0.000 0.000
0.000 6.250 0.000
0.000 0.000 8.751
K O Bi Ba
1 12 4 3
Direct
0.500 0.003 0.500
0.000 0.037 0.000
0.247 0.262 0.737
0.500 0.454 0.000
0.247 0.262 0.263
0.250 0.742 0.779
0.000 0.957 0.500
0.500 0.543 0.500
0.753 0.262 0.263
0.250 0.742 0.221
0.753 0.262 0.737
0.750 0.742 0.779
0.750 0.742 0.221
0.000 0.999 0.748
0.500 0.500 0.252
0.500 0.500 0.748
0.000 0.999 0.252
0.000 0.495 0.000
0.000 0.499 0.500
0.500 0.998 0.000

***

Record 6
TiSnP2SO12, optimized geometry, DFT GGA-PBE; total DFT energy (no corrections) = -7.124 eV per atom; total energy after the MP2020 corrections = -7.61 eV per atom; formation enthalpy at 0 K = -2.5356 eV per atom; density = 3.1 g/cm3
1.0
-2.635 -4.102 7.176
8.222 -0.787 -2.670
5.712 17.878 12.322
S O P Ti Sn
6 72 12 6 6
Direct
0.999 0.709 0.748
0.041 0.376 0.916
0.712 0.716 0.250
0.672 0.043 0.084
0.335 0.377 0.415
0.378 0.049 0.583
0.158 0.690 0.756
0.030 0.197 0.195
0.361 0.870 0.578
0.213 0.175 0.805
0.295 0.448 0.470
0.865 0.357 0.924
0.502 0.139 0.924
0.803 0.971 0.695
0.529 0.838 0.755
0.973 0.168 0.593
0.825 0.794 0.304
0.863 0.361 0.639
0.696 0.530 0.528
0.169 0.967 0.195
0.694 0.537 0.245
0.175 0.199 0.407
0.022 0.831 0.404
0.963 0.780 0.803
0.367 0.876 0.860
0.808 0.834 0.909
0.547 0.842 0.472
0.159 0.704 0.472
0.117 0.487 0.863
0.471 0.163 0.242
0.169 0.976 0.909
0.631 0.118 0.137
0.704 0.154 0.029
0.544 0.703 0.973
0.792 0.824 0.197
0.474 0.308 0.738
0.152 0.451 0.970
0.167 0.195 0.694
0.449 0.290 0.028
0.459 0.158 0.530
0.132 0.634 0.362
0.807 0.977 0.404
0.296 0.841 0.972
0.141 0.645 0.076
0.644 0.503 0.923
0.491 0.127 0.637
0.641 0.141 0.427
0.835 0.805 0.595
0.196 0.028 0.305
0.025 0.200 0.910
0.842 0.545 0.028
0.860 0.502 0.426
0.200 0.026 0.593
0.501 0.864 0.361
0.354 0.497 0.076
0.491 0.369 0.140
0.841 0.532 0.741
0.639 0.501 0.639
0.504 0.640 0.576
0.878 0.507 0.139
0.507 0.628 0.861
0.510 0.867 0.077
0.972 0.168 0.305
0.838 0.307 0.243
0.168 0.472 0.262
0.492 0.357 0.425
0.973 0.809 0.095
0.365 0.491 0.363
0.306 0.835 0.260
0.304 0.471 0.756
0.835 0.301 0.528
0.138 0.497 0.576
0.826 0.039 0.805
0.533 0.693 0.259
0.191 0.168 0.094
0.827 0.024 0.092
0.693 0.168 0.737
0.031 0.824 0.696
0.957 0.626 0.084
0.376 0.334 0.084
0.045 0.671 0.416
0.288 0.287 0.748
0.670 0.620 0.583
0.334 0.957 0.917
0.952 0.335 0.584
0.622 0.956 0.415
0.286 0.001 0.251
0.003 0.287 0.250
0.625 0.669 0.917
0.713 0.005 0.749
0.684 0.340 0.478
0.018 0.006 0.145
0.990 0.008 0.644
0.323 0.673 0.311
0.998 0.004 0.355
0.664 0.335 0.688
0.001 0.999 0.853
0.336 0.668 0.521
0.334 0.669 0.021
0.669 0.337 0.189
0.660 0.336 0.979
0.343 0.671 0.811

***

Record 7
Ho2CuGe4O12, optimized geometry, DFT GGA-PBE; total DFT energy (no corrections) = -6.889 eV per atom; total energy after the MP2020 corrections = -7.32 eV per atom; formation enthalpy at 0 K = -2.5264 eV per atom; density = 5.6 g/cm3
1.0
4.480 -0.256 2.190
-1.135 -6.812 -2.239
3.434 4.646 -5.511
Ge O Ho Cu
4 12 2 1
Direct
0.418 0.616 0.795
0.540 0.168 0.775
0.460 0.832 0.225
0.582 0.384 0.205
0.732 0.312 0.988
0.794 0.425 0.389
0.257 0.223 0.194
0.752 0.008 0.204
0.584 0.658 0.295
0.248 0.992 0.796
0.743 0.777 0.806
0.206 0.575 0.611
0.416 0.342 0.705
0.268 0.688 0.012
0.775 0.067 0.611
0.225 0.933 0.389
0.954 0.770 0.549
0.046 0.230 0.451
0.000 0.000 0.000